Sc3Si3Pt | r2SCAN | optimized geometry

Unit cell a=4.036 b=10.218 c=11.705 alpha=90.00 beta=90.00 gamma=90.00
Positions (direct):
1 Sc 0.250 0.876 0.021
2 Sc 0.250 0.624 0.521
3 Sc 0.750 0.124 0.979
4 Sc 0.750 0.376 0.479
5 Sc 0.250 0.920 0.599
6 Sc 0.250 0.580 0.099
7 Sc 0.750 0.080 0.401
8 Sc 0.750 0.420 0.901
9 Sc 0.250 0.658 0.801
10 Sc 0.250 0.842 0.301
11 Sc 0.750 0.342 0.199
12 Sc 0.750 0.158 0.699
13 Si 0.250 0.016 0.825
14 Si 0.250 0.484 0.325
15 Si 0.750 0.984 0.175
16 Si 0.750 0.516 0.675
17 Si 0.250 0.247 0.844
18 Si 0.250 0.253 0.344
19 Si 0.750 0.753 0.156
20 Si 0.750 0.747 0.656
21 Si 0.250 0.189 0.543
22 Si 0.250 0.311 0.043
23 Si 0.750 0.811 0.457
24 Si 0.750 0.689 0.957
25 Pt 0.250 0.386 0.679
26 Pt 0.250 0.114 0.179
27 Pt 0.750 0.614 0.321
28 Pt 0.750 0.886 0.821

Computed properties:
The total energy comes out at -477.41 eV per cell. The calculation puts the energy of formation at -1.050 eV per atom. The magnetic moment is 0.015 Bohr magnetons per cell.

---

ScB2Os | r2SCAN | optimized geometry

Unit cell a=5.184 b=5.654 c=6.173 alpha=90.00 beta=90.00 gamma=90.00
Positions (direct):
1 Sc 0.250 0.011 0.329
2 Sc 0.250 0.511 0.171
3 Sc 0.750 0.989 0.671
4 Sc 0.750 0.489 0.829
5 B 0.081 0.355 0.533
6 B 0.419 0.855 0.967
7 B 0.581 0.645 0.467
8 B 0.919 0.145 0.033
9 B 0.919 0.645 0.467
10 B 0.581 0.145 0.033
11 B 0.419 0.355 0.533
12 B 0.081 0.855 0.967
13 Os 0.250 0.177 0.821
14 Os 0.250 0.677 0.679
15 Os 0.750 0.823 0.179
16 Os 0.750 0.323 0.321

Computed properties:
The total energy comes out at -328.13 eV per cell. The calculation puts the energy of formation at -0.739 eV per atom. The magnetic moment is 0.000 Bohr magnetons per cell.